(1)
# SmGaPd

An optimized crystal structure of SmGaPd (meta-GGA r2SCAN, Materials Project).

a b c (Å): 7.1146 4.5274 7.5759
angles (deg): 90.00 90.00 90.00
Atoms (fractional coordinates):
Sm 0.0198 0.2500 0.1983
Sm 0.4802 0.7500 0.6983
Sm 0.5198 0.2500 0.3017
Sm 0.9802 0.7500 0.8017
Ga 0.1758 0.2500 0.5789
Ga 0.3242 0.7500 0.0789
Ga 0.6758 0.2500 0.9211
Ga 0.8242 0.7500 0.4211
Pd 0.2105 0.7500 0.4073
Pd 0.2895 0.2500 0.9073
Pd 0.7105 0.7500 0.0927
Pd 0.7895 0.2500 0.5927

Values from the calculation:
E_tot = -267.58 eV for the cell shown
SG = Pnma

***

(2)
# K3In2As3

An optimized crystal structure of K3In2As3 (meta-GGA r2SCAN, Materials Project).

a b c (Å): 10.5118 10.5118 14.8838
angles (deg): 90.00 90.00 37.87
Atoms (fractional coordinates):
K 0.0714 0.6135 0.1756
K 0.1135 0.5714 0.6756
K 0.1518 0.8482 0.8621
K 0.3482 0.6518 0.3621
K 0.3865 0.9286 0.1756
K 0.4286 0.8865 0.6756
K 0.5714 0.1135 0.3244
K 0.6135 0.0714 0.8244
K 0.6518 0.3482 0.6379
K 0.8482 0.1518 0.1379
K 0.8865 0.4286 0.3244
K 0.9286 0.3865 0.8244
In 0.0834 0.0834 0.5000
In 0.2390 0.2390 0.0000
In 0.2610 0.2610 0.5000
In 0.4166 0.4166 0.0000
In 0.5834 0.5834 0.0000
In 0.7390 0.7390 0.5000
In 0.7610 0.7610 0.0000
In 0.9166 0.9166 0.5000
As 0.0512 0.6000 0.4023
As 0.1000 0.5512 0.9023
As 0.1619 0.8381 0.6184
As 0.3381 0.6619 0.1184
As 0.4000 0.9488 0.4023
As 0.4488 0.9000 0.9023
As 0.5512 0.1000 0.0977
As 0.6000 0.0512 0.5977
As 0.6619 0.3381 0.8816
As 0.8381 0.1619 0.3816
As 0.9000 0.4488 0.0977
As 0.9488 0.4000 0.5977

Values from the calculation:
E_tot = -448.50 eV for the cell shown
SG = Cmce

***

(3)
# DyAsPt

An optimized crystal structure of DyAsPt (meta-GGA r2SCAN, Materials Project).

a b c (Å): 4.2600 4.2600 15.3274
angles (deg): 90.00 90.00 120.00
Atoms (fractional coordinates):
Dy 0.0000 0.0000 0.0000
Dy 0.0000 0.0000 0.2500
Dy 0.0000 0.0000 0.5000
Dy 0.0000 0.0000 0.7500
As 0.3333 0.6667 0.1163
As 0.3333 0.6667 0.3837
As 0.6667 0.3333 0.6163
As 0.6667 0.3333 0.8837
Pt 0.3333 0.6667 0.6354
Pt 0.3333 0.6667 0.8646
Pt 0.6667 0.3333 0.1354
Pt 0.6667 0.3333 0.3646

Values from the calculation:
E_tot = -409.44 eV for the cell shown
SG = P6_3/mmc

***

(4)
# YbU3

An optimized crystal structure of YbU3 (meta-GGA r2SCAN, Materials Project).

a b c (Å): 6.4587 6.4587 5.2674
angles (deg): 90.00 90.00 120.00
Atoms (fractional coordinates):
Yb 0.3333 0.6667 0.2500
Yb 0.6667 0.3333 0.7500
U 0.1467 0.2933 0.7500
U 0.1467 0.8533 0.7500
U 0.2933 0.1467 0.2500
U 0.7067 0.8533 0.7500
U 0.8533 0.1467 0.2500
U 0.8533 0.7067 0.2500

Values from the calculation:
Energy relative to the lowest polymorph listed for this composition = 0 meV/atom
SG = P6_3/mmc